[1]
Entry from Materials Project: a geometry-optimized NbIO2 structure (PBE).

a b c (Å): 21.6604 3.8119 4.0037
angles (deg): 90.00 90.00 90.00
With the nearest neighbours (Å) after each atom.
Atoms (fractional coordinates):
Nb (0.0652, 0.2500, 0.0494)  1 O 1.81
Nb (0.4348, 0.7500, 0.5494)  1 O 1.81
Nb (0.5652, 0.2500, 0.4506)  1 O 1.81
Nb (0.9348, 0.7500, 0.9506)  1 O 1.81
I (0.1708, 0.7500, 0.9950)  2 Nb 2.99, 1 O 3.02
I (0.3292, 0.2500, 0.4950)  2 Nb 2.99, 1 O 3.02
I (0.6708, 0.7500, 0.5050)  2 Nb 2.99, 1 O 3.02
I (0.8292, 0.2500, 0.0050)  2 Nb 2.99, 1 O 3.02
O (0.0314, 0.7500, 0.9938)  3 Nb 2.05-2.10
O (0.0720, 0.2500, 0.5012)  1 Nb 1.81
O (0.4280, 0.7500, 0.0012)  1 Nb 1.81
O (0.4686, 0.2500, 0.4938)  3 Nb 2.05-2.10
O (0.5314, 0.7500, 0.5062)  3 Nb 2.05-2.10
O (0.5720, 0.2500, 0.9988)  1 Nb 1.81
O (0.9280, 0.7500, 0.4988)  1 Nb 1.81
O (0.9686, 0.2500, 0.0062)  3 Nb 2.05-2.10

Mass density = 5.06 g/cm³
Formation energy = -218.2 kJ per mole of atoms
VASP energy = -7.298 eV per atom
Symmetry = Pnma, No. 62

[2]
Entry from Materials Project: a geometry-optimized Nb3Te8I7O structure (PBE).

a b c (Å): 9.2130 16.6034 20.6492
angles (deg): 90.00 104.47 90.00
With the nearest neighbours (Å) after each atom.
Atoms (fractional coordinates):
Nb (0.1835, 0.1437, 0.1208)  1 O 1.98
Nb (0.1835, 0.3563, 0.6208)  1 O 1.98
Nb (0.2035, 0.1306, 0.6764)  1 O 1.97
Nb (0.2035, 0.3694, 0.1764)  1 O 1.97
Nb (0.2671, 0.2055, 0.5512)  1 O 2.17
Nb (0.2671, 0.2945, 0.0512)  1 O 2.17
Nb (0.7329, 0.7055, 0.9488)  1 O 2.17
Nb (0.7329, 0.7945, 0.4488)  1 O 2.17
Nb (0.7965, 0.6306, 0.8236)  1 O 1.97
Nb (0.7965, 0.8694, 0.3236)  1 O 1.97
Nb (0.8165, 0.6437, 0.3792)  1 O 1.98
Nb (0.8165, 0.8563, 0.8792)  1 O 1.98
Te (0.0749, 0.1289, 0.2445)  2 Te 2.82-2.85, 1 Nb 2.98
Te (0.0749, 0.3711, 0.7445)  2 Te 2.82-2.85, 1 Nb 2.98
Te (0.0860, 0.2063, 0.7843)  2 Te 2.83-2.85, 1 Nb 2.99
Te (0.0860, 0.2937, 0.2843)  2 Te 2.83-2.85, 1 Nb 2.99
Te (0.2193, 0.1362, 0.9899)  1 Te 2.72, 2 Nb 2.81-2.90
Te (0.2193, 0.3638, 0.4899)  1 Te 2.72, 2 Nb 2.81-2.90
Te (0.2514, 0.0333, 0.5723)  1 Te 2.73, 2 Nb 2.81-2.90
Te (0.2514, 0.4667, 0.0723)  1 Te 2.73, 2 Nb 2.81-2.90
Te (0.3857, 0.1314, 0.2540)  2 Te 2.82-2.86, 1 Nb 2.92
Te (0.3857, 0.3686, 0.7540)  2 Te 2.82-2.86, 1 Nb 2.92
Te (0.3978, 0.2034, 0.7948)  2 Te 2.83-2.86, 1 Nb 2.91
Te (0.3978, 0.2966, 0.2948)  2 Te 2.83-2.86, 1 Nb 2.91
Te (0.4698, 0.1600, 0.0908)  1 Te 2.72, 2 Nb 2.87-2.90
Te (0.4698, 0.3400, 0.5908)  1 Te 2.72, 2 Nb 2.87-2.90
Te (0.4906, 0.1156, 0.6475)  1 Te 2.73, 2 Nb 2.86-2.89
Te (0.4906, 0.3844, 0.1475)  1 Te 2.73, 2 Nb 2.86-2.89
Te (0.5094, 0.6156, 0.8525)  1 Te 2.73, 2 Nb 2.86-2.89
Te (0.5094, 0.8844, 0.3525)  1 Te 2.73, 2 Nb 2.86-2.89
Te (0.5302, 0.6600, 0.4092)  1 Te 2.72, 2 Nb 2.87-2.90
Te (0.5302, 0.8400, 0.9092)  1 Te 2.72, 2 Nb 2.87-2.90
Te (0.6022, 0.7034, 0.7052)  2 Te 2.83-2.86, 1 Nb 2.91
Te (0.6022, 0.7966, 0.2052)  2 Te 2.83-2.86, 1 Nb 2.91
Te (0.6143, 0.6314, 0.2460)  2 Te 2.82-2.86, 1 Nb 2.92
Te (0.6143, 0.8686, 0.7460)  2 Te 2.82-2.86, 1 Nb 2.92
Te (0.7486, 0.5333, 0.9277)  1 Te 2.73, 2 Nb 2.81-2.90
Te (0.7486, 0.9667, 0.4277)  1 Te 2.73, 2 Nb 2.81-2.90
Te (0.7807, 0.6362, 0.5101)  1 Te 2.72, 2 Nb 2.81-2.90
Te (0.7807, 0.8638, 0.0101)  1 Te 2.72, 2 Nb 2.81-2.90
Te (0.9140, 0.7063, 0.7157)  2 Te 2.83-2.85, 1 Nb 2.99
Te (0.9140, 0.7937, 0.2157)  2 Te 2.83-2.85, 1 Nb 2.99
Te (0.9251, 0.6289, 0.2555)  2 Te 2.82-2.85, 1 Nb 2.98
Te (0.9251, 0.8711, 0.7555)  2 Te 2.82-2.85, 1 Nb 2.98
I (0.0064, 0.6767, 0.0396)  1 Nb 2.78
I (0.0064, 0.8233, 0.5396)  1 Nb 2.78
I (0.0891, 0.5771, 0.8705)  1 Nb 2.77
I (0.0891, 0.9229, 0.3705)  1 Nb 2.77
I (0.1173, 0.6261, 0.4436)  1 Nb 2.77
I (0.1173, 0.8739, 0.9436)  1 Nb 2.77
I (0.2248, 0.5242, 0.6539)  1 Nb 2.87
I (0.2248, 0.9758, 0.1539)  1 Nb 2.87
I (0.2735, 0.0154, 0.7847)  1 Nb 2.89
I (0.2735, 0.4846, 0.2847)  1 Nb 2.89
I (0.2876, 0.7291, 0.2512)  6 Te 3.44-3.75
I (0.2876, 0.7709, 0.7512)  6 Te 3.44-3.75
I (0.4443, 0.1665, 0.4607)  1 Nb 2.85
I (0.4443, 0.3335, 0.9607)  1 Nb 2.85
I (0.5557, 0.6665, 0.0393)  1 Nb 2.85
I (0.5557, 0.8335, 0.5393)  1 Nb 2.85
I (0.7124, 0.2291, 0.2488)  6 Te 3.44-3.75
I (0.7124, 0.2709, 0.7488)  6 Te 3.44-3.75
I (0.7265, 0.5154, 0.7153)  1 Nb 2.89
I (0.7265, 0.9846, 0.2153)  1 Nb 2.89
I (0.7752, 0.0242, 0.8461)  1 Nb 2.87
I (0.7752, 0.4758, 0.3461)  1 Nb 2.87
I (0.8827, 0.1261, 0.0564)  1 Nb 2.77
I (0.8827, 0.3739, 0.5564)  1 Nb 2.77
I (0.9109, 0.0771, 0.6295)  1 Nb 2.77
I (0.9109, 0.4229, 0.1295)  1 Nb 2.77
I (0.9936, 0.1767, 0.4604)  1 Nb 2.78
I (0.9936, 0.3233, 0.9604)  1 Nb 2.78
O (0.1787, 0.2387, 0.6355)  3 Nb 1.97-2.17
O (0.1787, 0.2613, 0.1355)  3 Nb 1.97-2.17
O (0.8213, 0.7387, 0.8645)  3 Nb 1.97-2.17
O (0.8213, 0.7613, 0.3645)  3 Nb 1.97-2.17

Mass density = 4.79 g/cm³
Formation energy = -54.7 kJ per mole of atoms
VASP energy = -4.271 eV per atom
Symmetry = P2_1/c, No. 14

[3]
Entry from Materials Project: a geometry-optimized Nb3SI7 structure (PBE).

a b c (Å): 16.1153 12.7711 8.0506
angles (deg): 90.00 99.39 90.00
With the nearest neighbours (Å) after each atom.
Atoms (fractional coordinates):
Nb (0.1386, 0.0018, 0.0817)  1 S 2.43
Nb (0.1386, 0.4982, 0.5817)  1 S 2.43
Nb (0.2900, 0.6096, 0.6289)  1 S 2.44
Nb (0.2900, 0.8904, 0.1289)  1 S 2.44
Nb (0.2917, 0.1098, 0.1553)  1 S 2.44
Nb (0.2917, 0.3902, 0.6553)  1 S 2.44
Nb (0.7083, 0.6098, 0.3447)  1 S 2.44
Nb (0.7083, 0.8902, 0.8447)  1 S 2.44
Nb (0.7100, 0.1096, 0.8711)  1 S 2.44
Nb (0.7100, 0.3904, 0.3711)  1 S 2.44
Nb (0.8614, 0.5018, 0.4183)  1 S 2.43
Nb (0.8614, 0.9982, 0.9183)  1 S 2.43
S (0.2439, 0.0121, 0.8977)  3 Nb 2.43-2.44
S (0.2439, 0.4879, 0.3977)  3 Nb 2.43-2.44
S (0.7561, 0.5121, 0.6023)  3 Nb 2.43-2.44
S (0.7561, 0.9879, 0.1023)  3 Nb 2.43-2.44
I (0.0197, 0.0073, 0.7713)  2 Nb 2.89-2.98
I (0.0197, 0.4927, 0.2713)  2 Nb 2.89-2.98
I (0.1366, 0.7213, 0.5748)  2 Nb 2.82-2.85
I (0.1366, 0.7787, 0.0748)  2 Nb 2.82-2.85
I (0.1395, 0.2237, 0.1206)  2 Nb 2.83-2.85
I (0.1395, 0.2763, 0.6206)  2 Nb 2.83-2.85
I (0.2339, 0.5123, 0.9110)  3 Nb 2.84-2.86
I (0.2339, 0.9877, 0.4110)  3 Nb 2.84-2.86
I (0.3639, 0.7185, 0.3686)  2 Nb 2.93-3.04
I (0.3639, 0.7815, 0.8686)  2 Nb 2.93-3.04
I (0.3705, 0.2457, 0.9369)  2 Nb 2.91-3.04
I (0.3705, 0.2543, 0.4369)  2 Nb 2.91-3.04
I (0.4451, 0.5042, 0.7274)  2 Nb 2.84
I (0.4451, 0.9958, 0.2274)  2 Nb 2.84
I (0.5549, 0.0042, 0.7726)  2 Nb 2.84
I (0.5549, 0.4958, 0.2726)  2 Nb 2.84
I (0.6295, 0.7457, 0.5631)  2 Nb 2.91-3.04
I (0.6295, 0.7543, 0.0631)  2 Nb 2.91-3.04
I (0.6361, 0.2185, 0.1314)  2 Nb 2.93-3.04
I (0.6361, 0.2815, 0.6314)  2 Nb 2.93-3.04
I (0.7661, 0.0123, 0.5890)  3 Nb 2.84-2.86
I (0.7661, 0.4877, 0.0890)  3 Nb 2.84-2.86
I (0.8605, 0.7237, 0.3794)  2 Nb 2.83-2.85
I (0.8605, 0.7763, 0.8794)  2 Nb 2.83-2.85
I (0.8634, 0.2213, 0.9252)  2 Nb 2.82-2.85
I (0.8634, 0.2787, 0.4252)  2 Nb 2.82-2.85
I (0.9803, 0.5073, 0.7287)  2 Nb 2.89-2.98
I (0.9803, 0.9927, 0.2287)  2 Nb 2.89-2.98

Mass density = 4.87 g/cm³
Formation energy = -88.1 kJ per mole of atoms
VASP energy = -4.727 eV per atom
Symmetry = P2_1/c, No. 14

[4]
Entry from Materials Project: a geometry-optimized Nb7S2I19 structure (PBE).

a b c (Å): 13.1602 22.7049 16.2134
angles (deg): 90.00 93.53 90.00
With the nearest neighbours (Å) after each atom.
Atoms (fractional coordinates):
Nb (0.1275, 0.0896, 0.2336)  1 S 2.44
Nb (0.1275, 0.4104, 0.7336)  1 S 2.44
Nb (0.1551, 0.0043, 0.7182)  1 S 2.44
Nb (0.1551, 0.4957, 0.2182)  1 S 2.44
Nb (0.2389, 0.1933, 0.2079)  1 S 2.44
Nb (0.2389, 0.3067, 0.7079)  1 S 2.44
Nb (0.2412, 0.7098, 0.5750)  5 I 2.66-2.73
Nb (0.2412, 0.7902, 0.0750)  5 I 2.66-2.73
Nb (0.2536, 0.1131, 0.6977)  1 S 2.44
Nb (0.2536, 0.3869, 0.1977)  1 S 2.44
Nb (0.3412, 0.0853, 0.2340)  1 S 2.44
Nb (0.3412, 0.4147, 0.7340)  1 S 2.44
Nb (0.3687, 0.0086, 0.7166)  1 S 2.44
Nb (0.3687, 0.4914, 0.2166)  1 S 2.44
Nb (0.6313, 0.5086, 0.7834)  1 S 2.44
Nb (0.6313, 0.9914, 0.2834)  1 S 2.44
Nb (0.6588, 0.5853, 0.2660)  1 S 2.44
Nb (0.6588, 0.9147, 0.7660)  1 S 2.44
Nb (0.7464, 0.6131, 0.8023)  1 S 2.44
Nb (0.7464, 0.8869, 0.3023)  1 S 2.44
Nb (0.7588, 0.2098, 0.9250)  5 I 2.66-2.73
Nb (0.7588, 0.2902, 0.4250)  5 I 2.66-2.73
Nb (0.7611, 0.6933, 0.2921)  1 S 2.44
Nb (0.7611, 0.8067, 0.7921)  1 S 2.44
Nb (0.8449, 0.5043, 0.7818)  1 S 2.44
Nb (0.8449, 0.9957, 0.2818)  1 S 2.44
Nb (0.8725, 0.5896, 0.2664)  1 S 2.44
Nb (0.8725, 0.9104, 0.7664)  1 S 2.44
S (0.2449, 0.1366, 0.3362)  3 Nb 2.44
S (0.2449, 0.3634, 0.8362)  3 Nb 2.44
S (0.2683, 0.0526, 0.8221)  3 Nb 2.44
S (0.2683, 0.4474, 0.3221)  3 Nb 2.44
S (0.7317, 0.5526, 0.6779)  3 Nb 2.44
S (0.7317, 0.9474, 0.1779)  3 Nb 2.44
S (0.7551, 0.6366, 0.1638)  3 Nb 2.44
S (0.7551, 0.8634, 0.6638)  3 Nb 2.44
I (0.0106, 0.0634, 0.3735)  2 Nb 2.88-2.99
I (0.0106, 0.4366, 0.8735)  2 Nb 2.88-2.99
I (0.0226, 0.1972, 0.2004)  2 Nb 2.84
I (0.0226, 0.3028, 0.7004)  2 Nb 2.84
I (0.0376, 0.1077, 0.6871)  2 Nb 2.84
I (0.0376, 0.3923, 0.1871)  2 Nb 2.84
I (0.0441, 0.5278, 0.3586)  2 Nb 2.87-2.98
I (0.0441, 0.9722, 0.8586)  2 Nb 2.87-2.98
I (0.0514, 0.6614, 0.5782)  1 Nb 2.73
I (0.0514, 0.8386, 0.0782)  1 Nb 2.73
I (0.1537, 0.6970, 0.9957)  1 Nb 2.70
I (0.1537, 0.8030, 0.4957)  1 Nb 2.70
I (0.2233, 0.1052, 0.0812)  3 Nb 2.86-2.88
I (0.2233, 0.3948, 0.5812)  3 Nb 2.86-2.88
I (0.2289, 0.5208, 0.7465)  2 Nb 2.84
I (0.2289, 0.9792, 0.2465)  2 Nb 2.84
I (0.2346, 0.2132, 0.5803)  2 Nb 2.96-2.97
I (0.2346, 0.2868, 0.0803)  2 Nb 2.96-2.97
I (0.2473, 0.0280, 0.5658)  3 Nb 2.87-2.88
I (0.2473, 0.4720, 0.0658)  3 Nb 2.87-2.88
I (0.2579, 0.2068, 0.8182)  2 Nb 2.89
I (0.2579, 0.2932, 0.3182)  2 Nb 2.89
I (0.2644, 0.7122, 0.7390)  1 Nb 2.66
I (0.2644, 0.7878, 0.2390)  1 Nb 2.66
I (0.2690, 0.6017, 0.2259)  2 Nb 2.83
I (0.2690, 0.8983, 0.7259)  2 Nb 2.83
I (0.3068, 0.6126, 0.5028)  1 Nb 2.67
I (0.3068, 0.8874, 0.0028)  1 Nb 2.67
I (0.4254, 0.7382, 0.0576)  1 Nb 2.73
I (0.4254, 0.7618, 0.5576)  1 Nb 2.73
I (0.4535, 0.1877, 0.1970)  2 Nb 2.84
I (0.4535, 0.3123, 0.6970)  2 Nb 2.84
I (0.4671, 0.1160, 0.6804)  2 Nb 2.84
I (0.4671, 0.3840, 0.1804)  2 Nb 2.84
I (0.4742, 0.0549, 0.3751)  2 Nb 2.88-2.99
I (0.4742, 0.4451, 0.8751)  2 Nb 2.88-2.99
I (0.4922, 0.0165, 0.1444)  2 Nb 2.87-2.98
I (0.4922, 0.4835, 0.6444)  2 Nb 2.87-2.98
I (0.5078, 0.5165, 0.3556)  2 Nb 2.87-2.98
I (0.5078, 0.9835, 0.8556)  2 Nb 2.87-2.98
I (0.5258, 0.5549, 0.1249)  2 Nb 2.88-2.99
I (0.5258, 0.9451, 0.6249)  2 Nb 2.88-2.99
I (0.5329, 0.6160, 0.8196)  2 Nb 2.84
I (0.5329, 0.8840, 0.3196)  2 Nb 2.84
I (0.5465, 0.6877, 0.3030)  2 Nb 2.84
I (0.5465, 0.8123, 0.8030)  2 Nb 2.84
I (0.5746, 0.2382, 0.4424)  1 Nb 2.73
I (0.5746, 0.2618, 0.9424)  1 Nb 2.73
I (0.6932, 0.1126, 0.9972)  1 Nb 2.67
I (0.6932, 0.3874, 0.4972)  1 Nb 2.67
I (0.7310, 0.1017, 0.2741)  2 Nb 2.83
I (0.7310, 0.3983, 0.7741)  2 Nb 2.83
I (0.7356, 0.2122, 0.7610)  1 Nb 2.66
I (0.7356, 0.2878, 0.2610)  1 Nb 2.66
I (0.7421, 0.7068, 0.6818)  2 Nb 2.89
I (0.7421, 0.7932, 0.1818)  2 Nb 2.89
I (0.7527, 0.5280, 0.9342)  3 Nb 2.87-2.88
I (0.7527, 0.9720, 0.4342)  3 Nb 2.87-2.88
I (0.7654, 0.7132, 0.9197)  2 Nb 2.96-2.97
I (0.7654, 0.7868, 0.4197)  2 Nb 2.96-2.97
I (0.7711, 0.0208, 0.7535)  2 Nb 2.84
I (0.7711, 0.4792, 0.2535)  2 Nb 2.84
I (0.7767, 0.6052, 0.4188)  3 Nb 2.86-2.88
I (0.7767, 0.8948, 0.9188)  3 Nb 2.86-2.88
I (0.8463, 0.1970, 0.5043)  1 Nb 2.70
I (0.8463, 0.3030, 0.0043)  1 Nb 2.70
I (0.9486, 0.1614, 0.9218)  1 Nb 2.73
I (0.9486, 0.3386, 0.4218)  1 Nb 2.73
I (0.9559, 0.0278, 0.1414)  2 Nb 2.87-2.98
I (0.9559, 0.4722, 0.6414)  2 Nb 2.87-2.98
I (0.9624, 0.6077, 0.8129)  2 Nb 2.84
I (0.9624, 0.8923, 0.3129)  2 Nb 2.84
I (0.9774, 0.6972, 0.2996)  2 Nb 2.84
I (0.9774, 0.8028, 0.7996)  2 Nb 2.84
I (0.9894, 0.5634, 0.1265)  2 Nb 2.88-2.99
I (0.9894, 0.9366, 0.6265)  2 Nb 2.88-2.99

Mass density = 4.29 g/cm³
Formation energy = -86.2 kJ per mole of atoms
VASP energy = -4.456 eV per atom
Symmetry = P2_1/c, No. 14

[5]
Entry from Materials Project: a geometry-optimized NbSeI structure (PBE).

a b c (Å): 7.7432 7.7432 7.7432
angles (deg): 60.00 60.00 60.00
With the nearest neighbours (Å) after each atom.
Atoms (fractional coordinates):
Nb (0.4018, 0.4018, 0.4018)  3 Se 2.56
Nb (0.4018, 0.4018, 0.7945)  3 Se 2.56
Nb (0.4018, 0.7945, 0.4018)  3 Se 2.56
Nb (0.7945, 0.4018, 0.4018)  3 Se 2.56
Se (0.1073, 0.6309, 0.6309)  3 Nb 2.56
Se (0.6309, 0.1073, 0.6309)  3 Nb 2.56
Se (0.6309, 0.6309, 0.1073)  3 Nb 2.56
Se (0.6309, 0.6309, 0.6309)  3 Nb 2.56
I (0.1278, 0.1278, 0.1278)  3 Nb 3.04
I (0.1278, 0.1278, 0.6166)  3 Nb 3.04
I (0.1278, 0.6166, 0.1278)  3 Nb 3.04
I (0.6166, 0.1278, 0.1278)  3 Nb 3.04

Mass density = 6.05 g/cm³
Formation energy = -82.6 kJ per mole of atoms
VASP energy = -5.770 eV per atom
Symmetry = F-43m, No. 216

[6]
Entry from Materials Project: a geometry-optimized NbSeI3 structure (PBE).

a b c (Å): 8.3639 8.3639 13.8422
angles (deg): 93.87 93.87 127.33
With the nearest neighbours (Å) after each atom.
Atoms (fractional coordinates):
Nb (0.0075, 0.1289, 0.1559)  2 Se 2.60-2.67, 3 I 2.78-2.90
Nb (0.1289, 0.0075, 0.6559)  2 Se 2.60-2.67, 3 I 2.78-2.90
Nb (0.8711, 0.9925, 0.3441)  2 Se 2.60-2.67, 3 I 2.78-2.90
Nb (0.9925, 0.8711, 0.8441)  2 Se 2.60-2.67, 3 I 2.78-2.90
Se (0.0364, 0.6683, 0.7049)  1 Se 2.35, 1 Nb 2.60
Se (0.3317, 0.9636, 0.7951)  1 Se 2.35, 1 Nb 2.60
Se (0.6683, 0.0364, 0.2049)  1 Se 2.35, 1 Nb 2.60
Se (0.9636, 0.3317, 0.2951)  1 Se 2.35, 1 Nb 2.60
I (0.0553, 0.2441, 0.5331)  2 Nb 2.90-3.00
I (0.1964, 0.2931, 0.8054)  2 Nb 2.80-2.96
I (0.2232, 0.5054, 0.0903)  1 Nb 2.78
I (0.2441, 0.0553, 0.0331)  2 Nb 2.90-3.00
I (0.2931, 0.1964, 0.3054)  2 Nb 2.80-2.96
I (0.4946, 0.7768, 0.4097)  1 Nb 2.78
I (0.5054, 0.2232, 0.5903)  1 Nb 2.78
I (0.7069, 0.8036, 0.6946)  2 Nb 2.80-2.96
I (0.7559, 0.9447, 0.9669)  2 Nb 2.90-3.00
I (0.7768, 0.4946, 0.9097)  1 Nb 2.78
I (0.8036, 0.7069, 0.1946)  2 Nb 2.80-2.96
I (0.9447, 0.7559, 0.4669)  2 Nb 2.90-3.00

Mass density = 4.82 g/cm³
Formation energy = -73.2 kJ per mole of atoms
VASP energy = -4.165 eV per atom
Symmetry = C2/c, No. 15